(1)
! PBE SiO2, optimized geometry; values from VASP
! - piezoelectric modulus e_max (C/m²) = 0.16
! - SG = I-42d, No. 122
! - ΔE_f (eV per atom) = -3.2672
! - total energy (eV/f.u.) = -23.7
&SYSTEM
  ibrav = 0, nat = 6, ntyp = 2
/
ATOMIC_SPECIES
Si 28.09 Si.upf
O 16.00 O.upf
CELL_PARAMETERS angstrom
-2.528 2.528 3.687
2.528 -2.528 3.687
2.528 2.528 -3.687
ATOMIC_POSITIONS angstrom
Si 0.000 0.000 0.000
Si 0.000 2.528 1.843
O 0.445 1.264 0.922
O -1.264 2.083 2.765
O -0.445 3.792 0.922
O 1.264 2.973 2.765


(2)
! PBE Li7Ga24Te40, optimized geometry; values from VASP
! - SG = P1, No. 1
! - ΔE_f (eV per atom) = -0.6582
! - magnetic moment (μB per cell) = 0.023
! - total energy (eV/f.u.) = -241.6
&SYSTEM
  ibrav = 0, nat = 71, ntyp = 3
/
ATOMIC_SPECIES
Li 6.94 Li.upf
Ga 69.72 Ga.upf
Te 127.60 Te.upf
CELL_PARAMETERS angstrom
10.373 0.000 0.000
-0.015 10.393 0.000
-0.114 -0.023 20.744
ATOMIC_POSITIONS angstrom
Li 0.000 0.000 0.000
Li -0.041 10.335 10.366
Li 2.834 2.769 4.760
Li 5.498 7.502 17.974
Li 7.073 4.272 11.909
Li 8.639 5.837 3.050
Li 8.763 5.994 13.623
Ga 0.099 3.436 19.694
Ga 0.192 3.490 9.298
Ga 1.021 6.810 10.155
Ga 0.967 6.795 20.518
Ga 1.088 5.866 16.639
Ga 1.150 5.895 6.289
Ga 1.502 8.713 3.139
Ga 1.451 8.709 13.499
Ga 4.072 4.415 9.202
Ga 4.013 4.412 19.584
Ga 4.377 1.259 12.029
Ga 4.457 1.280 1.650
Ga 4.483 7.747 11.074
Ga 4.551 7.751 0.701
Ga 5.304 8.604 14.421
Ga 5.376 8.606 4.080
Ga 6.279 1.709 4.965
Ga 6.228 1.680 15.362
Ga 7.213 1.582 8.850
Ga 7.158 1.587 19.262
Ga 8.686 9.040 5.946
Ga 8.657 9.040 16.309
Ga 9.623 2.536 5.838
Ga 9.599 2.536 16.210
Te 0.261 4.353 14.610
Te 0.334 4.365 4.261
Te 0.989 8.559 5.798
Te 0.942 8.544 16.162
Te 1.036 1.699 7.576
Te 0.988 1.692 17.960
Te 1.858 0.802 12.718
Te 1.933 0.828 2.380
Te 2.108 4.463 0.600
Te 2.060 4.455 10.981
Te 2.728 8.591 9.312
Te 2.681 8.604 19.691
Te 3.436 6.923 13.443
Te 3.498 6.946 3.074
Te 3.634 5.112 6.687
Te 3.599 5.172 17.090
Te 4.461 10.308 16.206
Te 4.519 10.363 5.836
Te 4.484 1.732 19.725
Te 4.548 1.740 9.356
Te 5.205 3.278 13.544
Te 5.301 3.310 3.132
Te 6.034 5.895 20.455
Te 6.087 5.935 10.042
Te 6.187 9.649 1.705
Te 6.133 9.639 12.069
Te 7.117 7.009 15.495
Te 7.204 7.015 5.099
Te 7.268 3.370 6.867
Te 7.219 3.338 17.242
Te 7.883 9.459 18.811
Te 7.992 9.494 8.466
Te 8.660 0.656 4.176
Te 8.606 0.649 14.548
Te 8.748 2.468 0.543
Te 8.746 2.409 10.886
Te 9.723 5.841 8.270
Te 9.680 5.816 18.638
Te 9.787 7.876 11.971
Te 9.862 7.895 1.594


total energy of number 2 (Li7Ga24Te40)? -241.6 eV/f.u.


Which of these has the lowest total energy? Li7Ga24Te40


What is the ΔE_f in the second record? -0.6582 eV per atom


What did the second record say?
! PBE Li7Ga24Te40, optimized geometry; values from VASP
! - SG = P1, No. 1
! - ΔE_f (eV per atom) = -0.6582
! - magnetic moment (μB per cell) = 0.023
! - total energy (eV/f.u.) = -241.6
&SYSTEM
  ibrav = 0, nat = 71, ntyp = 3
/
ATOMIC_SPECIES
Li 6.94 Li.upf
Ga 69.72 Ga.upf
Te 127.60 Te.upf
CELL_PARAMETERS angstrom
10.373 0.000 0.000
-0.015 10.393 0.000
-0.114 -0.023 20.744
ATOMIC_POSITIONS angstrom
Li 0.000 0.000 0.000
Li -0.041 10.335 10.366
Li 2.834 2.769 4.760
Li 5.498 7.502 17.974
Li 7.073 4.272 11.909
Li 8.639 5.837 3.050
Li 8.763 5.994 13.623
Ga 0.099 3.436 19.694
Ga 0.192 3.490 9.298
Ga 1.021 6.810 10.155
Ga 0.967 6.795 20.518
Ga 1.088 5.866 16.639
Ga 1.150 5.895 6.289
Ga 1.502 8.713 3.139
Ga 1.451 8.709 13.499
Ga 4.072 4.415 9.202
Ga 4.013 4.412 19.584
Ga 4.377 1.259 12.029
Ga 4.457 1.280 1.650
Ga 4.483 7.747 11.074
Ga 4.551 7.751 0.701
Ga 5.304 8.604 14.421
Ga 5.376 8.606 4.080
Ga 6.279 1.709 4.965
Ga 6.228 1.680 15.362
Ga 7.213 1.582 8.850
Ga 7.158 1.587 19.262
Ga 8.686 9.040 5.946
Ga 8.657 9.040 16.309
Ga 9.623 2.536 5.838
Ga 9.599 2.536 16.210
Te 0.261 4.353 14.610
Te 0.334 4.365 4.261
Te 0.989 8.559 5.798
Te 0.942 8.544 16.162
Te 1.036 1.699 7.576
Te 0.988 1.692 17.960
Te 1.858 0.802 12.718
Te 1.933 0.828 2.380
Te 2.108 4.463 0.600
Te 2.060 4.455 10.981
Te 2.728 8.591 9.312
Te 2.681 8.604 19.691
Te 3.436 6.923 13.443
Te 3.498 6.946 3.074
Te 3.634 5.112 6.687
Te 3.599 5.172 17.090
Te 4.461 10.308 16.206
Te 4.519 10.363 5.836
Te 4.484 1.732 19.725
Te 4.548 1.740 9.356
Te 5.205 3.278 13.544
Te 5.301 3.310 3.132
Te 6.034 5.895 20.455
Te 6.087 5.935 10.042
Te 6.187 9.649 1.705
Te 6.133 9.639 12.069
Te 7.117 7.009 15.495
Te 7.204 7.015 5.099
Te 7.268 3.370 6.867
Te 7.219 3.338 17.242
Te 7.883 9.459 18.811
Te 7.992 9.494 8.466
Te 8.660 0.656 4.176
Te 8.606 0.649 14.548
Te 8.748 2.468 0.543
Te 8.746 2.409 10.886
Te 9.723 5.841 8.270
Te 9.680 5.816 18.638
Te 9.787 7.876 11.971
Te 9.862 7.895 1.594